Entry 1:
The following is a DFT calculation (GGA+U) of crystalline Cr2Cu3O12F12 at its relaxed geometry.

space-group type: P-1, No. 2
total magnetic moment: 3.000 μB per formula unit
energy of formation from the pure elements: -1.206 eV/atom
corrected total energy (MP2020 scheme): -148.9 eV per cell

a = 7.5141 Å, b = 7.6942 Å, c = 7.7528 Å
α = 99.36°, β = 98.83°, γ = 96.44°
Fractional positions:
Cr (0.0000, 0.0000, 0.5000)
Cr (0.5000, 0.5000, 0.0000)
Cu (0.0000, 0.0000, 0.0000)
Cu (0.0000, 0.5000, 0.5000)
Cu (0.5000, 0.0000, 0.5000)
O (0.1607, 0.8366, 0.9352)
O (0.8393, 0.1634, 0.0648)
O (0.2487, 0.9957, 0.9685)
O (0.7513, 0.0043, 0.0315)
O (0.0928, 0.4982, 0.2821)
O (0.9072, 0.5018, 0.7179)
O (0.2103, 0.4502, 0.3982)
O (0.7897, 0.5498, 0.6018)
O (0.4926, 0.1413, 0.3207)
O (0.5074, 0.8587, 0.6793)
O (0.4540, 0.7591, 0.5245)
O (0.5460, 0.2409, 0.4755)
F (0.0863, 0.9602, 0.2817)
F (0.9137, 0.0398, 0.7183)
F (0.0864, 0.7926, 0.5604)
F (0.9136, 0.2074, 0.4396)
F (0.2243, 0.1263, 0.6004)
F (0.7757, 0.8737, 0.3996)
F (0.4425, 0.7147, 0.0885)
F (0.5575, 0.2853, 0.9115)
F (0.2750, 0.3929, 0.0021)
F (0.7250, 0.6071, 0.9979)
F (0.4238, 0.5328, 0.7756)
F (0.5762, 0.4672, 0.2244)

***

Entry 2:
The following is a DFT calculation (GGA+U) of crystalline Li2Ti3NiP6O24 at its relaxed geometry.

space-group type: R3, No. 146
total magnetic moment: 4.000 μB per formula unit
energy of formation from the pure elements: -2.751 eV/atom
corrected total energy (MP2020 scheme): -283.6 eV per cell

a = 8.6945 Å, b = 8.6945 Å, c = 8.6945 Å
α = 59.61°, β = 59.61°, γ = 59.61°
Fractional positions:
Li (0.0116, 0.0116, 0.0116)
Li (0.4982, 0.4982, 0.4982)
Ti (0.8578, 0.8578, 0.8578)
Ti (0.6445, 0.6445, 0.6445)
Ti (0.3548, 0.3548, 0.3548)
Ni (0.1428, 0.1428, 0.1428)
P (0.5386, 0.9569, 0.2514)
P (0.2514, 0.5386, 0.9569)
P (0.9569, 0.2514, 0.5386)
P (0.0411, 0.7505, 0.4593)
P (0.7505, 0.4593, 0.0411)
P (0.4593, 0.0411, 0.7505)
O (0.5103, 0.8808, 0.6845)
O (0.8808, 0.6845, 0.5103)
O (0.7242, 0.9468, 0.0789)
O (0.6845, 0.5103, 0.8808)
O (0.5746, 0.7649, 0.4140)
O (0.3752, 0.9820, 0.2115)
O (0.0789, 0.7242, 0.9468)
O (0.4140, 0.5746, 0.7649)
O (0.7649, 0.4140, 0.5746)
O (0.9993, 0.8031, 0.6251)
O (0.0491, 0.9151, 0.2716)
O (0.8031, 0.6251, 0.9993)
O (0.2115, 0.3752, 0.9820)
O (0.9468, 0.0789, 0.7242)
O (0.9820, 0.2115, 0.3752)
O (0.2338, 0.5857, 0.4368)
O (0.5857, 0.4368, 0.2338)
O (0.9151, 0.2716, 0.0491)
O (0.6251, 0.9993, 0.8031)
O (0.4368, 0.2338, 0.5857)
O (0.3063, 0.4959, 0.1229)
O (0.2716, 0.0491, 0.9151)
O (0.1229, 0.3063, 0.4959)
O (0.4959, 0.1229, 0.3063)

***

Entry 3:
The following is a DFT calculation (GGA+U) of crystalline V4O3F9 at its relaxed geometry.

space-group type: P1, No. 1
energy of formation from the pure elements: -2.954 eV/atom
corrected total energy (MP2020 scheme): -231.3 eV per cell

a = 5.2072 Å, b = 5.4109 Å, c = 17.3959 Å
α = 89.34°, β = 98.28°, γ = 118.56°
Fractional positions:
V (0.7497, 0.3745, 0.1252)
V (0.7460, 0.8957, 0.6304)
V (0.5227, 0.7320, 0.2496)
V (0.5131, 0.2535, 0.7506)
V (0.2150, 0.0968, 0.3730)
V (0.2151, 0.6121, 0.8732)
V (0.9778, 0.0157, 0.0016)
V (0.9721, 0.4722, 0.5051)
O (0.7996, 0.1992, 0.5600)
O (0.8414, 0.2009, 0.0399)
O (0.8533, 0.9193, 0.3354)
O (0.8543, 0.4249, 0.8345)
O (0.6583, 0.5475, 0.2096)
O (0.6734, 0.0442, 0.7038)
F (0.3250, 0.1524, 0.0856)
F (0.7719, 0.6793, 0.0594)
F (0.7241, 0.0667, 0.1894)
F (0.3443, 0.9566, 0.2911)
F (0.3277, 0.6675, 0.5850)
F (0.3414, 0.4734, 0.7885)
F (0.1727, 0.5963, 0.1649)
F (0.1738, 0.0869, 0.6628)
F (0.1807, 0.2945, 0.4613)
F (0.2835, 0.4372, 0.3148)
F (0.7275, 0.5696, 0.6849)
F (0.8233, 0.7154, 0.5397)
F (0.1692, 0.7949, 0.9621)
F (0.6607, 0.3284, 0.4134)
F (0.2820, 0.9455, 0.8152)
F (0.2261, 0.3130, 0.9373)
F (0.2118, 0.8024, 0.4406)
F (0.6626, 0.8317, 0.9120)

***

Entry 4:
The following is a DFT calculation (GGA+U) of crystalline LiV6O7F5 at its relaxed geometry.

space-group type: P1, No. 1
total magnetic moment: 12.000 μB per formula unit
energy of formation from the pure elements: -2.714 eV/atom
corrected total energy (MP2020 scheme): -152.2 eV per cell

a = 4.8636 Å, b = 5.7030 Å, c = 7.8072 Å
α = 85.08°, β = 87.61°, γ = 86.94°
Fractional positions:
Li (0.4893, 0.2558, 0.7543)
V (0.4929, 0.1637, 0.3314)
V (0.5396, 0.5214, 0.0254)
V (0.5353, 0.8321, 0.6555)
V (0.9573, 0.0026, 0.9974)
V (0.9954, 0.6643, 0.3224)
V (0.9878, 0.3199, 0.6638)
O (0.3102, 0.1355, 0.5709)
O (0.3047, 0.4649, 0.2375)
O (0.6950, 0.2004, 0.1050)
O (0.6854, 0.5258, 0.7690)
O (0.7033, 0.8674, 0.4257)
O (0.7962, 0.0401, 0.7635)
O (0.8134, 0.7048, 0.1010)
F (0.1952, 0.9635, 0.2233)
F (0.1920, 0.6256, 0.5681)
F (0.1892, 0.3000, 0.8978)
F (0.3056, 0.8159, 0.8995)
F (0.8007, 0.3662, 0.4323)

***

Entry 5:
The following is a DFT calculation (GGA+U) of crystalline MgCo3BiO8 at its relaxed geometry.

space-group type: R3, No. 146
total magnetic moment: 11.990 μB per formula unit
energy of formation from the pure elements: -1.408 eV/atom
corrected total energy (MP2020 scheme): -84.7 eV per cell

a = 6.0160 Å, b = 6.0167 Å, c = 6.2535 Å
α = 61.23°, β = 118.76°, γ = 119.98°
Fractional positions:
Mg (0.1322, 0.8686, 0.3946)
Co (0.5047, 0.5000, 0.9979)
Co (0.5014, 0.0068, 0.9987)
Co (0.9942, 0.4960, 0.9985)
Bi (0.5039, 0.4969, 0.5092)
O (0.7506, 0.7175, 0.7786)
O (0.7470, 0.2498, 0.7794)
O (0.2666, 0.7343, 0.7981)
O (0.2834, 0.2543, 0.7789)
O (0.7269, 0.7452, 0.2388)
O (0.7298, 0.2713, 0.1873)
O (0.2557, 0.7426, 0.2388)
O (0.2583, 0.2740, 0.2388)

***

Entry 6:
The following is a DFT calculation (GGA+U) of crystalline Li5Co3O8 at its relaxed geometry.

space-group type: P-1, No. 2
total magnetic moment: 9.999 μB per formula unit
energy of formation from the pure elements: -1.678 eV/atom
corrected total energy (MP2020 scheme): -97.3 eV per cell

a = 2.9814 Å, b = 5.0833 Å, c = 9.8792 Å
α = 101.49°, β = 91.34°, γ = 105.08°
Fractional positions:
Li (0.7534, 0.4964, 0.8736)
Li (0.2466, 0.5036, 0.1264)
Li (0.7511, 0.5084, 0.3744)
Li (0.2489, 0.4916, 0.6256)
Li (0.5000, 0.0000, 0.5000)
Co (0.0016, 0.9992, 0.7403)
Co (0.9984, 0.0008, 0.2597)
Co (0.5000, 0.0000, 0.0000)
O (0.3549, 0.7716, 0.8181)
O (0.8943, 0.7758, 0.0732)
O (0.3577, 0.7726, 0.3080)
O (0.8813, 0.7632, 0.5814)
O (0.1057, 0.2242, 0.9268)
O (0.6451, 0.2284, 0.1819)
O (0.1187, 0.2368, 0.4186)
O (0.6423, 0.2274, 0.6920)

***

Entry 7:
The following is a DFT calculation (GGA+U) of crystalline PWO4 at its relaxed geometry.

space-group type: Pnma, No. 62
total magnetic moment: 3.000 μB per formula unit
energy of formation from the pure elements: -2.265 eV/atom
corrected total energy (MP2020 scheme): -207.0 eV per cell

a = 5.1075 Å, b = 5.9930 Å, c = 10.2048 Å
α = 90.00°, β = 90.00°, γ = 90.00°
Fractional positions:
P (0.1310, 0.7500, 0.0863)
P (0.3690, 0.7500, 0.5863)
P (0.8690, 0.2500, 0.9137)
P (0.6310, 0.2500, 0.4137)
W (0.5643, 0.7500, 0.2716)
W (0.9357, 0.7500, 0.7716)
W (0.4357, 0.2500, 0.7284)
W (0.0643, 0.2500, 0.2284)
O (0.1614, 0.2500, 0.8857)
O (0.7766, 0.4527, 0.3422)
O (0.2766, 0.5473, 0.1578)
O (0.2234, 0.9527, 0.6578)
O (0.7234, 0.0473, 0.8422)
O (0.2234, 0.5473, 0.6578)
O (0.7234, 0.4527, 0.8422)
O (0.7766, 0.0473, 0.3422)
O (0.8386, 0.7500, 0.1143)
O (0.3386, 0.2500, 0.3857)
O (0.2766, 0.9527, 0.1578)
O (0.6614, 0.7500, 0.6143)
O (0.3127, 0.7500, 0.4402)
O (0.8127, 0.2500, 0.0598)
O (0.6873, 0.2500, 0.5598)
O (0.1873, 0.7500, 0.9402)

***

Entry 8:
The following is a DFT calculation (GGA+U) of crystalline NaP2W7O25 at its relaxed geometry.

space-group type: P1, No. 1
total magnetic moment: 3.001 μB per formula unit
energy of formation from the pure elements: -2.300 eV/atom
corrected total energy (MP2020 scheme): -307.1 eV per cell

a = 5.3962 Å, b = 6.7290 Å, c = 14.0542 Å
α = 95.90°, β = 100.79°, γ = 90.12°
Fractional positions:
Na (0.2526, 0.3363, 0.4741)
P (0.8145, 0.2036, 0.5851)
P (0.1872, 0.7954, 0.4175)
W (0.5575, 0.7000, 0.1104)
W (0.4429, 0.3128, 0.8866)
W (0.9992, 0.0008, 0.9963)
W (0.1042, 0.3938, 0.2241)
W (0.8876, 0.6140, 0.7689)
W (0.6635, 0.0820, 0.3391)
W (0.3385, 0.9213, 0.6614)
O (0.1800, 0.5894, 0.3574)
O (0.8226, 0.4070, 0.6453)
O (0.8156, 0.8207, 0.0684)
O (0.1882, 0.1777, 0.9311)
O (0.4218, 0.2663, 0.2959)
O (0.5792, 0.7230, 0.7103)
O (0.7231, 0.2441, 0.4753)
O (0.2678, 0.7542, 0.5252)
O (0.9315, 0.2245, 0.3095)
O (0.0697, 0.7678, 0.6962)
O (0.2996, 0.5643, 0.1712)
O (0.7046, 0.4300, 0.8313)
O (0.2967, 0.8671, 0.0461)
O (0.6938, 0.1305, 0.9512)
O (0.0627, 0.1960, 0.1232)
O (0.9392, 0.8006, 0.8766)
O (0.8053, 0.5189, 0.1887)
O (0.1946, 0.4694, 0.8131)
O (0.6026, 0.9045, 0.2308)
O (0.3963, 0.1022, 0.7706)
O (0.0847, 0.1228, 0.5908)
O (0.9215, 0.8886, 0.4033)
O (0.6235, 0.0594, 0.6088)
O (0.3778, 0.9443, 0.3919)
O (0.4987, 0.4965, 0.9978)

***

Q: What is the energy of formation from the pure elements in the seventh record?
A: -2.265 eV/atom